Record 1
# Nb3Se5Cl7 | the Materials Project database | r²SCAN | optimized geometry
# Energy (eV per atom): -13.708
data_Nb3Se5Cl7
_symmetry_space_group_name_H-M 'P 1 21/m 1'
_symmetry_Int_Tables_number 11
_symmetry_space_group_name_Hall '-P 2yb'
_cell_length_a 8.044
_cell_length_b 12.769
_cell_length_c 8.355
_cell_angle_alpha 90.00
_cell_angle_beta 108.80
_cell_angle_gamma 90.00
loop_
_atom_site_label
_atom_site_fract_x
_atom_site_fract_y
_atom_site_fract_z
_atom_site_occupancy
Nb1 0.025 0.109 0.059 1
Nb2 0.399 0.250 0.483 1
Se1 0.175 0.025 0.851 1
Se2 0.279 0.531 0.127 1
Se3 0.423 0.250 0.763 1
Cl1 0.055 0.750 0.179 1
Cl2 0.153 0.117 0.395 1
Cl3 0.161 0.750 0.856 1
Cl4 0.282 0.250 0.129 1
Cl5 0.406 0.618 0.534 1

=====

Record 2
# Nb3TeCl7 | the Materials Project database | r²SCAN | optimized geometry
# Energy (eV per atom): -14.351
data_Nb3TeCl7
_symmetry_space_group_name_H-M 'P -3 m 1'
_symmetry_Int_Tables_number 164
_symmetry_space_group_name_Hall '-P 3 2"'
_cell_length_a 6.9583
_cell_length_b 6.9583
_cell_length_c 13.2453
_cell_angle_alpha 90.00
_cell_angle_beta 90.00
_cell_angle_gamma 120.00
loop_
_atom_site_label
_atom_site_fract_x
_atom_site_fract_y
_atom_site_fract_z
_atom_site_occupancy
Nb1 0.0548 0.5274 0.2414 1
Te1 0.3333 0.6667 0.4027 1
Cl1 0.1666 0.3332 0.6620 1
Cl2 0.1685 0.3370 0.1217 1
Cl3 0.3333 0.6667 0.8624 1

=====

Record 3
# NdCl3 | the Materials Project database | r²SCAN | optimized geometry
# Energy (eV per atom): -14.555
data_NdCl3
_symmetry_space_group_name_H-M 'P 63/m'
_symmetry_Int_Tables_number 176
_symmetry_space_group_name_Hall '-P 6c'
_cell_length_a 7.4748
_cell_length_b 7.4748
_cell_length_c 4.2493
_cell_angle_alpha 90.00
_cell_angle_beta 90.00
_cell_angle_gamma 120.00
loop_
_atom_site_label
_atom_site_fract_x
_atom_site_fract_y
_atom_site_fract_z
_atom_site_occupancy
Nd1 0.3333 0.6667 0.2500 1
Cl1 0.0862 0.3895 0.7500 1

=====

Record 4
# Rb2NdCl5 | the Materials Project database | r²SCAN | optimized geometry
# Energy (eV per atom): -13.436
data_Rb2NdCl5
_symmetry_space_group_name_H-M 'P n m a'
_symmetry_Int_Tables_number 62
_symmetry_space_group_name_Hall '-P 2ac 2n'
_cell_length_a 13.192
_cell_length_b 8.925
_cell_length_c 8.215
_cell_angle_alpha 90.00
_cell_angle_beta 90.00
_cell_angle_gamma 90.00
loop_
_atom_site_label
_atom_site_fract_x
_atom_site_fract_y
_atom_site_fract_z
_atom_site_occupancy
Rb1 0.171 0.005 0.056 1
Nd1 0.005 0.250 0.572 1
Cl1 0.010 0.250 0.911 1
Cl2 0.073 0.542 0.663 1
Cl3 0.177 0.250 0.379 1
Cl4 0.199 0.750 0.345 1

=====

Which of these has the highest energy? Rb2NdCl5